Na2Y2Ga2SiS5O24 | GGA-PBE | optimized geometry

Cell and atoms, written as POSCAR:
```
Na2Y2Ga2SiS5O24
1.0
8.840 0.000 0.000
4.403 7.700 0.000
0.244 0.135 23.258
Na Y Ga Si S O
6 6 6 3 15 72
Direct
0.000 0.000 0.000
0.009 0.967 0.514
0.367 0.310 0.848
0.383 0.247 0.348
0.673 0.653 0.180
0.689 0.640 0.677
0.021 0.970 0.367
0.032 0.977 0.155
0.360 0.291 0.199
0.363 0.294 0.499
0.676 0.661 0.325
0.691 0.627 0.020
0.013 0.982 0.857
0.021 0.971 0.667
0.355 0.304 0.695
0.374 0.307 0.988
0.679 0.633 0.835
0.691 0.645 0.518
0.324 0.969 0.262
0.691 0.331 0.921
0.696 0.934 0.436
0.025 0.674 0.259
0.028 0.263 0.759
0.060 0.608 0.605
0.079 0.305 0.082
0.310 0.684 0.761
0.347 0.006 0.606
0.349 0.598 0.087
0.386 0.938 0.919
0.397 0.642 0.438
0.651 0.014 0.085
0.659 0.302 0.604
0.727 0.973 0.760
0.728 0.274 0.260
0.975 0.349 0.436
0.987 0.641 0.918
0.007 0.170 0.436
0.009 0.776 0.206
0.016 0.790 0.908
0.017 0.768 0.312
0.044 0.785 0.613
0.055 0.151 0.080
0.062 0.150 0.811
0.141 0.350 0.439
0.151 0.494 0.656
0.157 0.479 0.925
0.164 0.306 0.136
0.164 0.536 0.552
0.181 0.299 0.029
0.183 0.997 0.614
0.190 0.278 0.751
0.190 0.771 0.085
0.194 0.510 0.259
0.195 0.768 0.812
0.219 0.941 0.909
0.220 0.982 0.202
0.229 0.962 0.320
0.231 0.791 0.708
0.232 0.807 0.437
0.317 0.108 0.552
0.330 0.507 0.755
0.346 0.141 0.265
0.348 0.504 0.034
0.355 0.505 0.140
0.357 0.116 0.926
0.361 0.497 0.442
0.377 0.097 0.655
0.461 0.833 0.972
0.485 0.670 0.767
0.491 0.641 0.492
0.499 0.830 0.601
0.502 0.616 0.386
0.505 0.621 0.086
0.510 0.858 0.868
0.515 0.311 0.930
0.515 0.797 0.255
0.519 0.125 0.436
0.541 0.333 0.656
0.545 0.310 0.261
0.551 0.133 0.752
0.554 0.113 0.033
0.560 0.100 0.138
0.587 0.269 0.552
0.649 0.464 0.866
0.668 0.839 0.084
0.680 0.457 0.597
0.687 0.837 0.379
0.699 0.833 0.498
0.707 0.817 0.768
0.732 0.405 0.979
0.732 0.437 0.259
0.807 0.006 0.811
0.810 0.172 0.312
0.813 0.178 0.206
0.825 0.000 0.083
0.833 0.142 0.613
0.838 0.942 0.707
0.863 0.139 0.910
0.867 0.953 0.438
0.870 0.429 0.491
0.874 0.439 0.766
0.880 0.681 0.971
0.882 0.633 0.258
0.884 0.442 0.384
0.886 0.624 0.601
0.895 0.616 0.868
0.907 0.465 0.082
0.997 0.182 0.708
```

Properties
Symmetry: No. 1
Theoretical density (g cm⁻³): 2.9
DFT total energy (eV/atom): -6.54
Magnetic moment (μB per formula unit): 0.0
Formation enthalpy at 0 K (eV per atom): -2.376


Na4Zn2Ga2SiS5O24 | GGA-PBE | optimized geometry

Cell and atoms, written as POSCAR:
```
Na4Zn2Ga2SiS5O24
1.0
8.759 0.000 0.000
-4.375 7.620 0.000
-0.179 -0.206 22.259
Na Zn Ga Si S O
12 6 6 3 15 72
Direct
0.000 0.000 0.000
0.001 0.000 0.507
0.034 0.331 0.089
0.323 0.658 0.670
0.326 0.658 0.170
0.348 0.991 0.749
0.643 0.005 0.256
0.661 0.323 0.335
0.673 0.342 0.832
0.697 0.671 0.423
0.955 0.293 0.419
0.966 0.670 0.912
0.000 0.988 0.656
0.006 0.011 0.155
0.341 0.672 0.017
0.657 0.310 0.486
0.658 0.328 0.983
0.995 0.992 0.844
0.325 0.660 0.816
0.325 0.665 0.318
0.350 0.683 0.522
0.677 0.339 0.186
0.684 0.351 0.686
0.987 0.008 0.350
0.007 0.306 0.250
0.619 0.954 0.416
0.998 0.699 0.753
0.041 0.370 0.919
0.047 0.675 0.419
0.289 0.000 0.252
0.297 0.299 0.751
0.331 0.375 0.419
0.336 0.962 0.918
0.373 0.040 0.586
0.379 0.333 0.086
0.622 0.668 0.918
0.662 0.038 0.085
0.663 0.623 0.583
0.703 0.000 0.751
0.706 0.702 0.251
0.958 0.630 0.085
0.968 0.337 0.584
0.022 0.195 0.911
0.032 0.835 0.411
0.036 0.226 0.189
0.052 0.831 0.697
0.121 0.634 0.365
0.128 0.488 0.867
0.134 0.639 0.082
0.142 0.447 0.976
0.146 0.502 0.578
0.153 0.698 0.474
0.173 0.195 0.411
0.177 0.980 0.914
0.180 0.499 0.262
0.181 0.685 0.760
0.183 0.967 0.197
0.186 0.226 0.697
0.197 0.022 0.590
0.201 0.174 0.089
0.205 0.025 0.307
0.222 0.191 0.806
0.291 0.450 0.472
0.304 0.849 0.972
0.318 0.847 0.258
0.326 0.480 0.760
0.356 0.491 0.083
0.358 0.861 0.581
0.360 0.485 0.364
0.361 0.879 0.863
0.453 0.144 0.532
0.460 0.311 0.031
0.468 0.161 0.247
0.472 0.306 0.743
0.485 0.123 0.641
0.490 0.358 0.141
0.494 0.365 0.425
0.495 0.634 0.580
0.497 0.136 0.923
0.503 0.864 0.081
0.505 0.862 0.355
0.511 0.643 0.864
0.525 0.840 0.759
0.532 0.690 0.257
0.536 0.823 0.473
0.543 0.689 0.973
0.636 0.511 0.636
0.638 0.120 0.142
0.644 0.509 0.921
0.654 0.154 0.421
0.669 0.152 0.744
0.684 0.524 0.245
0.686 0.544 0.527
0.695 0.153 0.033
0.781 0.973 0.697
0.788 0.814 0.199
0.800 0.826 0.915
0.812 0.039 0.806
0.815 0.777 0.308
0.816 0.801 0.589
0.818 0.311 0.245
0.820 0.970 0.412
0.823 0.021 0.090
0.823 0.504 0.744
0.855 0.551 0.028
0.866 0.311 0.527
0.866 0.361 0.923
0.866 0.520 0.423
0.873 0.512 0.138
0.882 0.366 0.637
0.959 0.176 0.310
0.964 0.772 0.816
0.976 0.804 0.093
0.987 0.181 0.591
```

Properties
Symmetry: No. 1
Theoretical density (g cm⁻³): 3.1
DFT total energy (eV/atom): -5.82
Magnetic moment (μB per formula unit): 0.0
Formation enthalpy at 0 K (eV per atom): -2.081


Na7ZnGa3Si3S3O24 | GGA-PBE | optimized geometry

Cell and atoms, written as POSCAR:
```
Na7ZnGa3Si3S3O24
1.0
8.940 0.000 0.000
-4.455 7.805 0.000
-0.293 -0.249 21.984
Na Zn Ga Si S O
21 3 9 9 9 72
Direct
0.000 0.000 0.000
0.004 0.366 0.489
0.015 0.303 0.162
0.040 0.684 0.416
0.046 0.676 0.912
0.066 0.038 0.325
0.072 0.398 0.836
0.324 0.644 0.336
0.341 0.028 0.828
0.354 0.349 0.247
0.371 0.362 0.746
0.400 0.059 0.165
0.406 0.691 0.661
0.662 0.327 0.662
0.671 0.691 0.162
0.683 0.640 0.823
0.692 0.017 0.576
0.700 0.388 0.334
0.705 0.029 0.079
0.721 0.713 0.496
0.738 0.357 0.994
0.359 0.371 0.404
0.367 0.378 0.892
0.723 0.043 0.224
0.011 0.673 0.258
0.021 0.669 0.064
0.021 0.672 0.764
0.022 0.690 0.558
0.344 0.332 0.098
0.404 0.392 0.589
0.688 0.007 0.730
0.689 0.042 0.434
0.698 0.039 0.925
0.032 0.970 0.160
0.070 0.359 0.994
0.364 0.668 0.495
0.405 0.737 0.827
0.658 0.355 0.494
0.698 0.313 0.825
0.725 0.392 0.159
0.748 0.701 0.662
0.997 0.322 0.328
0.032 0.392 0.661
0.077 0.065 0.496
0.316 0.982 0.662
0.320 0.687 0.162
0.364 0.058 0.994
0.401 0.017 0.326
0.659 0.655 0.995
0.701 0.735 0.327
0.986 0.020 0.828
0.002 0.474 0.607
0.002 0.863 0.822
0.013 0.518 0.322
0.013 0.856 0.099
0.043 0.529 0.002
0.054 0.890 0.502
0.068 0.503 0.717
0.071 0.886 0.221
0.158 0.321 0.055
0.160 0.170 0.833
0.164 0.182 0.548
0.169 0.133 0.438
0.174 0.380 0.933
0.187 0.374 0.655
0.190 0.342 0.334
0.190 0.681 0.508
0.203 0.166 0.158
0.207 0.888 0.001
0.213 0.725 0.820
0.214 0.657 0.217
0.221 0.902 0.719
0.226 0.860 0.324
0.232 0.867 0.609
0.241 0.719 0.108
0.308 0.544 0.435
0.334 0.154 0.657
0.337 0.137 0.940
0.338 0.532 0.156
0.378 0.544 0.829
0.384 0.172 0.332
0.395 0.169 0.050
0.404 0.580 0.555
0.485 0.988 0.380
0.493 0.840 0.168
0.495 0.002 0.664
0.500 0.036 0.270
0.500 0.866 0.885
0.522 0.812 0.766
0.523 0.045 0.992
0.524 0.328 0.831
0.538 0.387 0.150
0.543 0.320 0.556
0.550 0.846 0.486
0.551 0.522 0.658
0.553 0.559 0.330
0.557 0.572 0.050
0.575 0.390 0.433
0.585 0.547 0.940
0.672 0.811 0.271
0.673 0.192 0.765
0.680 0.829 0.990
0.694 0.193 0.493
0.695 0.199 0.163
0.717 0.869 0.667
0.723 0.839 0.382
0.744 0.240 0.887
0.805 0.514 0.220
0.833 0.660 0.722
0.838 0.675 0.999
0.850 0.532 0.500
0.854 0.474 0.101
0.857 0.984 0.161
0.858 0.721 0.601
0.866 0.230 0.387
0.866 0.726 0.324
0.872 0.507 0.822
0.873 0.178 0.991
0.873 0.224 0.667
0.882 0.990 0.884
0.899 0.045 0.492
0.904 0.050 0.774
0.924 0.209 0.266
```

Properties
Symmetry: No. 1
Theoretical density (g cm⁻³): 3.2
DFT total energy (eV/atom): -5.97
Magnetic moment (μB per formula unit): 0.0
Formation enthalpy at 0 K (eV per atom): -2.303